# 1
The following is a DFT calculation (meta-GGA r2SCAN) of crystalline Cs5Te3 at its relaxed geometry.

Lattice parameters (Å, degrees): 7.048 11.203 11.203 84.31 71.66 71.66
Fractional coordinates of all 16 atoms:
Cs (0.912, 0.870, 0.306)
Cs (0.726, 0.866, 0.683)
Cs (0.409, 0.317, 0.865)
Cs (0.274, 0.134, 0.317)
Cs (0.217, 0.695, 0.870)
Cs (0.750, 0.500, 0.500)
Cs (0.088, 0.130, 0.694)
Cs (0.250, 0.500, 0.500)
Cs (0.783, 0.305, 0.130)
Cs (0.591, 0.683, 0.135)
Te (0.301, 0.000, 0.000)
Te (0.156, 0.501, 0.187)
Te (0.343, 0.813, 0.502)
Te (0.699, 0.000, 0.000)
Te (0.844, 0.499, 0.813)
Te (0.657, 0.187, 0.498)

Values from the calculation:
E_form = -1.189 eV per atom

=====

# 2
The following is a DFT calculation (meta-GGA r2SCAN) of crystalline YAgSb2 at its relaxed geometry.

Lattice parameters (Å, degrees): 4.289 4.289 10.714 90.00 90.00 90.00
Fractional coordinates of all 8 atoms:
Sb (0.000, 0.000, 0.000)
Sb (0.000, 0.500, 0.320)
Sb (0.500, 0.500, 0.000)
Sb (0.500, 0.000, 0.680)
Ag (0.500, 0.500, 0.500)
Ag (0.000, 0.000, 0.500)
Y (0.500, 0.000, 0.232)
Y (0.000, 0.500, 0.768)

Values from the calculation:
E_form = -0.697 eV per atom

=====

# 3
The following is a DFT calculation (meta-GGA r2SCAN) of crystalline SnCl4 at its relaxed geometry.

Lattice parameters (Å, degrees): 6.787 9.968 10.089 102.99 90.00 90.00
Fractional coordinates of all 20 atoms:
Cl (0.395, 0.689, 0.070)
Cl (0.427, 0.938, 0.811)
Cl (0.605, 0.311, 0.930)
Cl (0.916, 0.571, 0.189)
Cl (0.927, 0.062, 0.689)
Cl (0.573, 0.062, 0.189)
Cl (0.073, 0.938, 0.311)
Cl (0.584, 0.571, 0.689)
Cl (0.084, 0.429, 0.811)
Cl (0.895, 0.311, 0.430)
Cl (0.584, 0.809, 0.448)
Cl (0.416, 0.429, 0.311)
Cl (0.084, 0.191, 0.052)
Cl (0.105, 0.689, 0.570)
Cl (0.416, 0.191, 0.552)
Cl (0.916, 0.809, 0.948)
Sn (0.424, 0.752, 0.629)
Sn (0.924, 0.248, 0.871)
Sn (0.576, 0.248, 0.371)
Sn (0.076, 0.752, 0.129)

Values from the calculation:
E_form = -1.025 eV per atom

=====

# 4
The following is a DFT calculation (meta-GGA r2SCAN) of crystalline KBaCeBiO6 at its relaxed geometry.

Lattice parameters (Å, degrees): 8.648 8.653 8.647 90.00 90.00 90.00
Fractional coordinates of all 40 atoms:
Ce (0.750, 0.750, 0.250)
Ce (0.250, 0.250, 0.250)
Ce (0.750, 0.250, 0.750)
Ce (0.250, 0.750, 0.750)
O (0.747, 0.006, 0.236)
O (0.261, 0.253, 0.506)
O (0.239, 0.753, 0.006)
O (0.739, 0.253, 0.494)
O (0.994, 0.753, 0.739)
O (0.006, 0.247, 0.739)
O (0.506, 0.747, 0.761)
O (0.753, 0.506, 0.736)
O (0.753, 0.494, 0.264)
O (0.006, 0.753, 0.261)
O (0.506, 0.253, 0.239)
O (0.239, 0.247, 0.994)
O (0.261, 0.747, 0.494)
O (0.739, 0.747, 0.506)
O (0.253, 0.006, 0.764)
O (0.994, 0.247, 0.261)
O (0.247, 0.494, 0.736)
O (0.761, 0.247, 0.006)
O (0.761, 0.753, 0.994)
O (0.494, 0.253, 0.761)
O (0.253, 0.994, 0.236)
O (0.494, 0.747, 0.239)
O (0.247, 0.506, 0.264)
O (0.747, 0.994, 0.764)
K (0.500, 0.000, 0.500)
K (0.000, 0.000, 0.500)
K (0.500, 0.500, 0.000)
K (0.000, 0.500, 0.000)
Bi (0.750, 0.750, 0.750)
Bi (0.250, 0.250, 0.750)
Bi (0.250, 0.750, 0.250)
Bi (0.750, 0.250, 0.250)
Ba (0.000, 0.000, 0.000)
Ba (0.000, 0.500, 0.500)
Ba (0.500, 0.000, 0.000)
Ba (0.500, 0.500, 0.500)

Values from the calculation:
E_form = -2.418 eV per atom

=====

# 5
The following is a DFT calculation (meta-GGA r2SCAN) of crystalline ScAl2 at its relaxed geometry.

Lattice parameters (Å, degrees): 5.342 5.342 5.342 60.00 60.00 60.00
Fractional coordinates of all 6 atoms:
Sc (0.875, 0.875, 0.875)
Sc (0.125, 0.125, 0.125)
Al (0.000, 0.500, 0.500)
Al (0.500, 0.000, 0.500)
Al (0.500, 0.500, 0.000)
Al (0.500, 0.500, 0.500)

Values from the calculation:
E_form = -0.531 eV per atom

=====

# 6
The following is a DFT calculation (meta-GGA r2SCAN) of crystalline ErHCl at its relaxed geometry.

Lattice parameters (Å, degrees): 9.464 9.464 9.464 22.53 22.53 22.53
Fractional coordinates of all 6 atoms:
Cl (0.391, 0.391, 0.391)
Cl (0.609, 0.609, 0.609)
H (0.196, 0.196, 0.196)
H (0.804, 0.804, 0.804)
Er (0.119, 0.119, 0.119)
Er (0.881, 0.881, 0.881)

Values from the calculation:
E_form = -1.591 eV per atom

=====

# 7
The following is a DFT calculation (meta-GGA r2SCAN) of crystalline EuMgGa3 at its relaxed geometry.

Lattice parameters (Å, degrees): 4.312 4.312 6.443 70.45 70.45 90.00
Fractional coordinates of all 5 atoms:
Mg (0.750, 0.250, 0.500)
Ga (0.250, 0.750, 0.500)
Ga (0.391, 0.391, 0.219)
Ga (0.609, 0.609, 0.781)
Eu (0.000, 0.000, 0.000)

Values from the calculation:
E_form = -0.496 eV per atom

=====

# 8
The following is a DFT calculation (meta-GGA r2SCAN) of crystalline ErNi4B at its relaxed geometry.

Lattice parameters (Å, degrees): 4.908 4.908 6.872 90.00 90.00 120.00
Fractional coordinates of all 12 atoms:
Ni (0.500, 0.500, 0.291)
Ni (0.000, 0.500, 0.291)
Ni (0.500, 0.500, 0.709)
Ni (0.333, 0.667, 0.000)
Ni (0.000, 0.500, 0.709)
Ni (0.667, 0.333, 0.000)
Ni (0.500, 0.000, 0.709)
Ni (0.500, 0.000, 0.291)
Er (0.000, 0.000, 0.000)
Er (0.000, 0.000, 0.500)
B (0.667, 0.333, 0.500)
B (0.333, 0.667, 0.500)

Values from the calculation:
E_form = -0.496 eV per atom

=====

# 9
The following is a DFT calculation (meta-GGA r2SCAN) of crystalline Y2Cr3O12 at its relaxed geometry.

Lattice parameters (Å, degrees): 15.877 15.372 5.928 83.90 74.30 21.79
Fractional coordinates of all 34 atoms:
O (0.945, 0.787, 0.872)
O (0.854, 0.378, 0.463)
O (0.224, 0.713, 0.587)
O (0.305, 0.463, 0.378)
O (0.587, 0.476, 0.224)
O (0.713, 0.224, 0.476)
O (0.663, 0.774, 0.026)
O (0.378, 0.854, 0.305)
O (0.872, 0.396, 0.945)
O (0.055, 0.556, 0.123)
O (0.195, 0.694, 0.127)
O (0.774, 0.663, 0.537)
O (0.396, 0.872, 0.787)
O (0.556, 0.055, 0.267)
O (0.026, 0.537, 0.662)
O (0.123, 0.267, 0.055)
O (0.127, 0.983, 0.195)
O (0.476, 0.588, 0.713)
O (0.787, 0.945, 0.396)
O (0.694, 0.195, 0.983)
O (0.537, 0.026, 0.774)
O (0.983, 0.127, 0.694)
O (0.463, 0.305, 0.854)
O (0.267, 0.123, 0.556)
Y (0.580, 0.580, 0.920)
Y (0.920, 0.920, 0.580)
Y (0.670, 0.670, 0.330)
Y (0.330, 0.330, 0.670)
Cr (0.500, 0.500, 0.500)
Cr (0.165, 0.164, 0.836)
Cr (0.414, 0.415, 0.085)
Cr (0.750, 0.750, 0.750)
Cr (0.835, 0.836, 0.165)
Cr (0.086, 0.085, 0.415)

Values from the calculation:
E_form = -2.463 eV per atom

=====

# 10
The following is a DFT calculation (meta-GGA r2SCAN) of crystalline SiO2 at its relaxed geometry.

Lattice parameters (Å, degrees): 4.876 5.078 8.480 75.44 73.29 61.32
Fractional coordinates of all 12 atoms:
O (0.000, 0.500, 0.000)
O (0.955, 0.750, 0.250)
O (0.500, 0.000, 0.500)
O (0.579, 0.783, 0.809)
O (0.045, 0.250, 0.750)
O (0.829, 0.283, 0.309)
O (0.171, 0.717, 0.691)
O (0.421, 0.217, 0.191)
Si (0.674, 0.062, 0.313)
Si (0.326, 0.938, 0.687)
Si (0.950, 0.562, 0.813)
Si (0.050, 0.438, 0.187)

Values from the calculation:
E_form = -3.030 eV per atom

=====

# 11
The following is a DFT calculation (meta-GGA r2SCAN) of crystalline Na2CeWO6 at its relaxed geometry.

Lattice parameters (Å, degrees): 5.848 5.848 5.848 60.00 60.00 60.00
Fractional coordinates of all 10 atoms:
O (0.732, 0.268, 0.268)
O (0.732, 0.732, 0.268)
O (0.732, 0.268, 0.732)
O (0.268, 0.732, 0.268)
O (0.268, 0.732, 0.732)
O (0.268, 0.268, 0.732)
Ce (0.000, 0.000, 0.000)
Na (0.250, 0.250, 0.250)
Na (0.750, 0.750, 0.750)
W (0.500, 0.500, 0.500)

Values from the calculation:
E_form = -2.591 eV per atom

=====

# 12
The following is a DFT calculation (meta-GGA r2SCAN) of crystalline YLuMg2 at its relaxed geometry.

Lattice parameters (Å, degrees): 5.321 5.321 5.321 60.00 60.00 60.00
Fractional coordinates of all 4 atoms:
Lu (0.250, 0.250, 0.250)
Mg (0.000, 0.000, 0.000)
Mg (0.500, 0.500, 0.500)
Y (0.750, 0.750, 0.750)

Values from the calculation:
E_form = -0.082 eV per atom

=====

# 13
The following is a DFT calculation (meta-GGA r2SCAN) of crystalline TbGdIr2 at its relaxed geometry.

Lattice parameters (Å, degrees): 4.866 4.866 4.866 60.00 60.00 60.00
Fractional coordinates of all 4 atoms:
Ir (0.750, 0.750, 0.750)
Ir (0.250, 0.250, 0.250)
Tb (0.000, 0.000, 0.000)
Gd (0.500, 0.500, 0.500)

Values from the calculation:
E_form = -0.849 eV per atom

=====

# 14
The following is a DFT calculation (meta-GGA r2SCAN) of crystalline Sb2Te2Se at its relaxed geometry.

Lattice parameters (Å, degrees): 10.648 10.648 10.648 22.84 22.84 22.84
Fractional coordinates of all 5 atoms:
Te (0.720, 0.720, 0.720)
Te (0.280, 0.280, 0.280)
Sb (0.109, 0.109, 0.109)
Sb (0.891, 0.891, 0.891)
Se (0.500, 0.500, 0.500)

Values from the calculation:
E_form = -0.194 eV per atom

=====

# 15
The following is a DFT calculation (meta-GGA r2SCAN) of crystalline Pm2CuGe at its relaxed geometry.

Lattice parameters (Å, degrees): 5.082 5.082 5.082 60.00 60.00 60.00
Fractional coordinates of all 4 atoms:
Pm (0.500, 0.500, 0.500)
Pm (0.000, 0.000, 0.000)
Ge (0.750, 0.750, 0.750)
Cu (0.250, 0.250, 0.250)

Values from the calculation:
E_form = -0.510 eV per atom

=====

# 16
The following is a DFT calculation (meta-GGA r2SCAN) of crystalline BiSb3F20 at its relaxed geometry.

Lattice parameters (Å, degrees): 8.499 8.499 5.044 85.37 85.37 112.05
Fractional coordinates of all 24 atoms:
F (0.136, 0.130, 0.561)
F (0.786, 0.970, 0.880)
F (0.348, 0.347, 0.887)
F (0.468, 0.260, 0.331)
F (0.976, 0.787, 0.889)
F (0.272, 0.465, 0.347)
F (0.653, 0.652, 0.113)
F (0.163, 0.585, 0.876)
F (0.083, 0.703, 0.335)
F (0.568, 0.165, 0.844)
F (0.213, 0.024, 0.111)
F (0.835, 0.432, 0.156)
F (0.740, 0.532, 0.669)
F (0.415, 0.837, 0.124)
F (0.535, 0.728, 0.653)
F (0.690, 0.071, 0.349)
F (0.030, 0.214, 0.120)
F (0.929, 0.310, 0.651)
F (0.297, 0.917, 0.665)
F (0.870, 0.864, 0.439)
Sb (0.259, 0.257, 0.241)
Sb (0.743, 0.741, 0.759)
Sb (0.205, 0.795, 0.000)
Bi (0.786, 0.214, 0.000)

Values from the calculation:
E_form = -2.258 eV per atom

=====

# 17
The following is a DFT calculation (meta-GGA r2SCAN) of crystalline VOF at its relaxed geometry.

Lattice parameters (Å, degrees): 4.912 6.370 4.918 71.62 100.06 71.58
Fractional coordinates of all 12 atoms:
V (0.086, 0.827, 0.336)
V (0.914, 0.173, 0.664)
V (0.586, 0.827, 0.836)
V (0.414, 0.173, 0.164)
F (0.553, 0.393, 0.303)
F (0.053, 0.393, 0.803)
F (0.447, 0.607, 0.697)
F (0.947, 0.607, 0.197)
O (0.217, 0.067, 0.468)
O (0.283, 0.933, 0.033)
O (0.782, 0.933, 0.532)
O (0.717, 0.067, 0.967)

Values from the calculation:
E_form = -2.867 eV per atom

=====

# 18
The following is a DFT calculation (meta-GGA r2SCAN) of crystalline Mn2MoP12 at its relaxed geometry.

Lattice parameters (Å, degrees): 8.476 8.476 10.559 65.67 65.67 39.39
Fractional coordinates of all 30 atoms:
P (0.354, 0.002, 0.664)
P (0.421, 0.702, 0.833)
P (0.979, 0.328, 0.759)
P (0.021, 0.672, 0.241)
P (0.002, 0.354, 0.164)
P (0.646, 0.998, 0.336)
P (0.669, 0.565, 0.495)
P (0.702, 0.421, 0.333)
P (0.596, 0.950, 0.075)
P (0.921, 0.012, 0.427)
P (0.579, 0.298, 0.167)
P (0.998, 0.646, 0.836)
P (0.672, 0.021, 0.741)
P (0.298, 0.579, 0.667)
P (0.435, 0.331, 0.005)
P (0.050, 0.404, 0.425)
P (0.950, 0.596, 0.575)
P (0.565, 0.669, 0.995)
P (0.079, 0.988, 0.573)
P (0.331, 0.435, 0.505)
P (0.012, 0.921, 0.927)
P (0.404, 0.050, 0.925)
P (0.988, 0.079, 0.073)
P (0.328, 0.979, 0.259)
Mn (0.629, 0.010, 0.546)
Mn (0.371, 0.990, 0.454)
Mn (0.010, 0.629, 0.046)
Mn (0.990, 0.371, 0.954)
Mo (0.305, 0.695, 0.250)
Mo (0.695, 0.305, 0.750)

Values from the calculation:
E_form = -0.351 eV per atom

=====

# 19
The following is a DFT calculation (meta-GGA r2SCAN) of crystalline PmErZn2 at its relaxed geometry.

Lattice parameters (Å, degrees): 5.060 5.060 5.060 60.00 60.00 60.00
Fractional coordinates of all 4 atoms:
Zn (0.250, 0.250, 0.250)
Zn (0.750, 0.750, 0.750)
Pm (0.000, 0.000, 0.000)
Er (0.500, 0.500, 0.500)

Values from the calculation:
E_form = -0.357 eV per atom